(1)
VASP calculation (PBE) on a geometry-optimized Na18Ca4Nb8Si15S3O72 structure.

Values from the calculation:
Formation enthalpy at 0 K = -272 kJ per mole of atoms
Volume = 1673 Å³/cell
SG = P1

a b c (Å): 9.194 9.221 22.752
angles (deg): 89.94 89.86 60.14
Atoms (fractional coordinates):
Na1 0.000 0.000 0.000
Na2 0.001 0.355 0.500
Na3 0.247 0.748 0.507
Na4 0.249 0.356 0.005
Na5 0.260 0.402 0.336
Na6 0.282 0.023 0.087
Na7 0.294 0.028 0.586
Na8 0.303 0.355 0.682
Na9 0.598 0.999 0.501
Na10 0.602 0.751 0.005
Na11 0.607 0.055 0.179
Na12 0.616 0.366 0.259
Na13 0.616 0.385 0.761
Na14 0.665 0.678 0.335
Na15 0.930 0.056 0.679
Na16 0.932 0.717 0.415
Na17 0.936 0.359 0.178
Na18 0.952 0.719 0.914
Ca1 0.279 0.036 0.943
Ca2 0.280 0.037 0.445
Ca3 0.945 0.710 0.774
Ca4 0.947 0.710 0.270
Nb1 0.269 0.034 0.736
Nb2 0.275 0.054 0.237
Nb3 0.611 0.375 0.111
Nb4 0.614 0.372 0.611
Nb5 0.626 0.361 0.906
Nb6 0.628 0.353 0.406
Nb7 0.943 0.702 0.573
Nb8 0.949 0.707 0.074
Si1 0.244 0.699 0.674
Si2 0.249 0.409 0.177
Si3 0.320 0.381 0.509
Si4 0.323 0.650 0.006
Si5 0.577 0.042 0.345
Si6 0.626 0.649 0.507
Si7 0.627 0.074 0.010
Si8 0.646 0.706 0.176
Si9 0.648 0.000 0.674
Si10 0.901 0.382 0.010
Si11 0.902 0.068 0.512
Si12 0.943 0.409 0.676
Si13 0.948 0.004 0.173
Si14 0.975 0.042 0.847
Si15 0.979 0.334 0.345
S1 0.291 0.737 0.342
S2 0.292 0.329 0.842
S3 0.569 0.736 0.842
O1 0.063 0.041 0.907
O2 0.074 0.253 0.405
O3 0.085 0.046 0.512
O4 0.086 0.223 0.011
O5 0.088 0.211 0.286
O6 0.093 0.056 0.788
O7 0.113 0.740 0.616
O8 0.115 0.512 0.121
O9 0.120 0.017 0.182
O10 0.124 0.219 0.684
O11 0.137 0.556 0.514
O12 0.139 0.659 0.014
O13 0.145 0.495 0.838
O14 0.152 0.703 0.336
O15 0.186 0.633 0.727
O16 0.192 0.497 0.238
O17 0.248 0.878 0.684
O18 0.253 0.223 0.179
O19 0.276 0.820 0.399
O20 0.287 0.248 0.897
O21 0.300 0.838 0.291
O22 0.301 0.218 0.513
O23 0.305 0.222 0.789
O24 0.307 0.831 0.010
O25 0.418 0.401 0.449
O26 0.420 0.531 0.949
O27 0.436 0.375 0.564
O28 0.438 0.552 0.660
O29 0.439 0.539 0.062
O30 0.444 0.063 0.287
O31 0.445 0.356 0.164
O32 0.453 0.338 0.841
O33 0.456 0.840 0.792
O34 0.457 0.573 0.340
O35 0.461 0.830 0.511
O36 0.462 0.016 0.686
O37 0.464 0.054 0.009
O38 0.467 0.884 0.182
O39 0.500 0.021 0.405
O40 0.500 0.819 0.899
O41 0.568 0.229 0.345
O42 0.569 0.571 0.841
O43 0.600 0.196 0.661
O44 0.612 0.551 0.160
O45 0.618 0.186 0.066
O46 0.626 0.535 0.562
O47 0.645 0.535 0.448
O48 0.648 0.176 0.952
O49 0.738 0.709 0.835
O50 0.745 0.872 0.616
O51 0.751 0.736 0.120
O52 0.758 0.882 0.337
O53 0.759 0.644 0.233
O54 0.777 0.403 0.952
O55 0.782 0.172 0.452
O56 0.782 0.943 0.725
O57 0.789 0.347 0.344
O58 0.790 0.227 0.845
O59 0.794 0.184 0.567
O60 0.795 0.368 0.065
O61 0.798 0.200 0.161
O62 0.801 0.353 0.664
O63 0.801 0.659 0.512
O64 0.802 0.891 0.013
O65 0.876 0.946 0.225
O66 0.903 0.889 0.512
O67 0.904 0.559 0.015
O68 0.906 0.513 0.734
O69 0.945 0.888 0.841
O70 0.958 0.517 0.339
O71 0.977 0.877 0.115
O72 0.980 0.502 0.618

(2)
VASP calculation (PBE) on a geometry-optimized EuGaAu2 structure.

Values from the calculation:
Formation enthalpy at 0 K = -51 kJ per mole of atoms
Volume = 89 Å³/cell
SG = Fm-3m

a b c (Å): 5.011 5.011 5.011
angles (deg): 60.00 60.00 60.00
Atoms (fractional coordinates):
Eu1 0.000 0.000 0.000
Ga1 0.500 0.500 0.500
Au1 0.250 0.250 0.250
Au2 0.750 0.750 0.750

(3)
VASP calculation (PBE) on a geometry-optimized OsN2 structure.

Values from the calculation:
Formation enthalpy at 0 K = 62 kJ per mole of atoms
Volume = 116 Å³/cell
SG = Pa-3
Energy above the lowest structure with this stoichiometry = 577.3 meV per atom

a b c (Å): 4.879 4.879 4.879
angles (deg): 90.00 90.00 90.00
Atoms (fractional coordinates):
Os1 0.000 0.000 0.000
Os2 0.000 0.500 0.500
Os3 0.500 0.000 0.500
Os4 0.500 0.500 0.000
N1 0.084 0.584 0.916
N2 0.084 0.916 0.416
N3 0.416 0.084 0.916
N4 0.416 0.416 0.416
N5 0.584 0.584 0.584
N6 0.584 0.916 0.084
N7 0.916 0.084 0.584
N8 0.916 0.416 0.084